No. 1
Material: YLu3
Method: DFT, PBE-GGA
State: relaxed

Calculated values
Total DFT energy (no corrections): -5.004 eV per atom
E_form: 0.003 eV per atom

Cell: 7.1185 7.1185 5.5653 Å, 90.00 90.00 120.00°
Last column: nearest neighbours and their distance in Å.
Fractional positions:
Y1 0.3333 0.6667 0.2500  12 Lu 3.47-3.56
Y2 0.6667 0.3333 0.7500  12 Lu 3.47-3.56
Lu1 0.1652 0.3305 0.7500  8 Lu 3.45-3.59, 4 Y 3.47-3.56
Lu2 0.1652 0.8348 0.7500  8 Lu 3.45-3.59, 4 Y 3.47-3.56
Lu3 0.3305 0.1652 0.2500  8 Lu 3.45-3.59, 4 Y 3.47-3.56
Lu4 0.6695 0.8348 0.7500  8 Lu 3.45-3.59, 4 Y 3.47-3.56
Lu5 0.8348 0.1652 0.2500  8 Lu 3.45-3.59, 4 Y 3.47-3.56
Lu6 0.8348 0.6695 0.2500  8 Lu 3.45-3.59, 4 Y 3.47-3.56



No. 2
Material: Lu2Zn17
Method: DFT, PBE-GGA
State: relaxed

Calculated values
Total DFT energy (no corrections): -1.812 eV per atom
E_form: -0.208 eV per atom
ΔE to the lowest computed polymorph: 0 meV/atom

Cell: 6.7691 6.7691 6.7691 Å, 82.41 82.41 82.41°
Last column: nearest neighbours and their distance in Å.
Fractional positions:
Lu1 0.1651 0.1651 0.1651  19 Zn 3.08-3.44
Lu2 0.8349 0.8349 0.8349  19 Zn 3.08-3.44
Zn1 0.0000 0.5000 0.5000  10 Zn 2.58-2.72
Zn2 0.1470 0.1470 0.6621  8 Zn 2.53-2.76
Zn3 0.1470 0.6621 0.1470  8 Zn 2.53-2.76
Zn4 0.2004 0.5000 0.7996  8 Zn 2.58-2.76
Zn5 0.2004 0.7996 0.5000  8 Zn 2.58-2.76
Zn6 0.3379 0.8530 0.8530  8 Zn 2.53-2.76
Zn7 0.3991 0.3991 0.3991  7 Zn 2.66-2.86
Zn8 0.5000 0.0000 0.5000  10 Zn 2.58-2.72
Zn9 0.5000 0.2004 0.7996  8 Zn 2.58-2.76
Zn10 0.5000 0.5000 0.0000  10 Zn 2.58-2.72
Zn11 0.5000 0.7996 0.2004  8 Zn 2.58-2.76
Zn12 0.6009 0.6009 0.6009  7 Zn 2.66-2.86
Zn13 0.6621 0.1470 0.1470  8 Zn 2.53-2.76
Zn14 0.7996 0.2004 0.5000  8 Zn 2.58-2.76
Zn15 0.7996 0.5000 0.2004  8 Zn 2.58-2.76
Zn16 0.8530 0.3379 0.8530  8 Zn 2.53-2.76
Zn17 0.8530 0.8530 0.3379  8 Zn 2.53-2.76



No. 3
Material: LuZn5
Method: DFT, PBE-GGA
State: relaxed

Calculated values
Total DFT energy (no corrections): -2.049 eV per atom
E_form: -0.246 eV per atom

Cell: 8.8641 8.8641 8.9540 Å, 90.00 90.00 120.00°
Last column: nearest neighbours and their distance in Å.
Fractional positions:
Lu1 0.1954 0.3907 0.2500  14 Zn 2.99-3.26
Lu2 0.1954 0.8046 0.2500  14 Zn 2.99-3.26
Lu3 0.3907 0.1954 0.7500  14 Zn 2.99-3.26
Lu4 0.6093 0.8046 0.2500  14 Zn 2.99-3.26
Lu5 0.8046 0.1954 0.7500  14 Zn 2.99-3.26
Lu6 0.8046 0.6093 0.7500  14 Zn 2.99-3.26
Zn1 0.0000 0.0000 0.0000  6 Zn 2.58
Zn2 0.0000 0.0000 0.5000  6 Zn 2.58
Zn3 0.0000 0.5000 0.0000  8 Zn 2.46-2.74
Zn4 0.0000 0.5000 0.5000  8 Zn 2.46-2.74
Zn5 0.1337 0.5669 0.7500  8 Zn 2.46-2.72
Zn6 0.1593 0.3185 0.5912  7 Zn 2.58-2.84
Zn7 0.1593 0.3185 0.9088  7 Zn 2.58-2.84
Zn8 0.1593 0.8407 0.5912  7 Zn 2.58-2.84
Zn9 0.1593 0.8407 0.9088  7 Zn 2.58-2.84
Zn10 0.3185 0.1593 0.0912  7 Zn 2.58-2.84
Zn11 0.3185 0.1593 0.4088  7 Zn 2.58-2.84
Zn12 0.3333 0.6667 0.0138  9 Zn 2.56-2.83
Zn13 0.3333 0.6667 0.4862  9 Zn 2.56-2.83
Zn14 0.4331 0.5669 0.7500  8 Zn 2.46-2.72
Zn15 0.4331 0.8663 0.7500  8 Zn 2.46-2.72
Zn16 0.5000 0.0000 0.0000  8 Zn 2.46-2.74
Zn17 0.5000 0.0000 0.5000  8 Zn 2.46-2.74
Zn18 0.5000 0.5000 0.0000  8 Zn 2.46-2.74
Zn19 0.5000 0.5000 0.5000  8 Zn 2.46-2.74
Zn20 0.5669 0.1337 0.2500  8 Zn 2.46-2.72
Zn21 0.5669 0.4331 0.2500  8 Zn 2.46-2.72
Zn22 0.6667 0.3333 0.5138  9 Zn 2.56-2.83
Zn23 0.6667 0.3333 0.9862  9 Zn 2.56-2.83
Zn24 0.6815 0.8407 0.5912  7 Zn 2.58-2.84
Zn25 0.6815 0.8407 0.9088  7 Zn 2.58-2.84
Zn26 0.8407 0.1593 0.0912  7 Zn 2.58-2.84
Zn27 0.8407 0.1593 0.4088  7 Zn 2.58-2.84
Zn28 0.8407 0.6815 0.0912  7 Zn 2.58-2.84
Zn29 0.8407 0.6815 0.4088  7 Zn 2.58-2.84
Zn30 0.8663 0.4331 0.2500  8 Zn 2.46-2.72